ScAlNi PBE optimized geometry; formation enthalpy at 0 K = -0.593 eV/atom; M_tot = 0.00 μB/cell; V = 186.81 Å³/cell; final energy = -5.8786 eV per atom
1.0
1.6687 4.2929 -2.2213
-4.9701 -1.1743 -0.2570
-1.3316 4.1142 6.9508
Ni Sc Al
4 4 4
direct
0.8333 0.1667 0.0000
0.1704 0.8296 0.5000
0.6550 0.8262 0.5000
0.1738 0.3450 0.5000
0.6690 0.3310 0.6746
0.3330 0.6670 0.2031
0.3330 0.6670 0.7969
0.6690 0.3310 0.3254
0.3438 0.1681 0.0000
0.8319 0.6562 0.0000
0.9939 0.0061 0.2639
0.9939 0.0061 0.7361